Material: Ba2Ca3Tl2V4O12
Method: DFT, PBE+U
State: optimized geometry

abc: 22.8532 22.8532 22.8532
angles: 170.11 170.11 14.00
Positions (direct):
1 Ba 0.1643 0.1643 0.0000
2 Ba 0.8357 0.8357 0.0000
3 Ca 0.0770 0.0770 0.0000
4 Ca 0.9230 0.9230 0.0000
5 Ca 0.0000 0.0000 0.0000
6 Tl 0.7255 0.7255 0.0000
7 Tl 0.2745 0.2745 0.0000
8 V 0.5372 0.5372 0.0000
9 V 0.3863 0.3863 0.0000
10 V 0.6137 0.6137 0.0000
11 V 0.4628 0.4628 0.0000
12 O 0.8941 0.3941 0.5000
13 O 0.0351 0.5351 0.5000
14 O 0.2214 0.2214 0.0000
15 O 0.4649 0.9649 0.5000
16 O 0.7786 0.7786 0.0000
17 O 0.6059 0.1059 0.5000
18 O 0.1059 0.6059 0.5000
19 O 0.3440 0.3440 0.0000
20 O 0.3941 0.8941 0.5000
21 O 0.5351 0.0351 0.5000
22 O 0.9649 0.4649 0.5000
23 O 0.6560 0.6560 0.0000

**Space group**: I4/mmm (139)
**Formation enthalpy at 0 K**: -54.602 kcal/mol of atoms
**Total energy**: -149.71 eV per cell